No. 1
A relaxed EuSe2 crystal, computed with meta-GGA r2SCAN.

abc: 4.095 4.095 8.877
angles: 90.00 90.00 90.00
Fractional coordinates of all 6 atoms:
Eu1 0.250 0.250 0.288
Se1 0.250 0.250 0.634
Se2 0.250 0.750 0.000
Se3 0.750 0.750 0.366
Se4 0.750 0.250 0.000
Eu2 0.750 0.750 0.713

Values from the calculation:
Its theoretical density is 6.91 Mg/m³. As for the total energy: -143.64 eV per cell. Its spin magnetization is 6.32 μB per formula unit. The symmetry is P4/nmm.

No. 2
A relaxed Eu2SnSe5 crystal, computed with meta-GGA r2SCAN.

abc: 4.089 8.225 11.997
angles: 90.00 90.00 90.00
Fractional coordinates of all 16 atoms:
Eu1 0.500 0.595 0.173
Se1 0.500 0.205 0.062
Se2 0.000 0.373 0.295
Se3 0.500 0.795 0.938
Se4 0.000 0.627 0.705
Se5 0.000 0.873 0.205
Sn1 0.000 0.000 0.000
Sn2 0.000 0.500 0.500
Se6 0.500 0.705 0.438
Eu2 0.500 0.905 0.673
Se7 0.500 0.295 0.562
Se8 0.000 0.000 0.500
Eu3 0.500 0.095 0.327
Se9 0.000 0.127 0.795
Se10 0.000 0.500 0.000
Eu4 0.500 0.405 0.827

Values from the calculation:
Its theoretical density is 6.73 Mg/m³. As for the total energy: -367.92 eV per cell. Its spin magnetization is 12.75 μB per formula unit. The symmetry is Pbam.

No. 3
A relaxed SrEu4Se5 crystal, computed with meta-GGA r2SCAN.

abc: 7.556 7.556 10.683
angles: 61.88 61.88 33.56
Fractional coordinates of all 10 atoms:
Se1 0.201 0.201 0.697
Eu1 0.200 0.200 0.201
Se2 0.799 0.799 0.303
Se3 0.602 0.602 0.102
Eu2 0.800 0.800 0.799
Eu3 0.400 0.400 0.400
Sr1 0.000 0.000 0.000
Se4 0.398 0.398 0.898
Se5 0.000 0.000 0.500
Eu4 0.600 0.600 0.600

Values from the calculation:
Its theoretical density is 6.17 Mg/m³. As for the total energy: -264.16 eV per cell. Its spin magnetization is 28.00 μB per formula unit. The symmetry is C2/m.

No. 4
A relaxed Tb2EuSe4 crystal, computed with meta-GGA r2SCAN.

abc: 4.135 12.487 14.943
angles: 90.00 90.00 90.00
Fractional coordinates of all 28 atoms:
Se1 0.250 0.634 0.971
Se2 0.250 0.022 0.285
Se3 0.750 0.866 0.471
Eu1 0.750 0.743 0.837
Tb1 0.250 0.432 0.389
Eu2 0.750 0.243 0.663
Tb2 0.750 0.068 0.889
Eu3 0.250 0.757 0.337
Se4 0.750 0.792 0.178
Se5 0.250 0.208 0.822
Se6 0.250 0.522 0.215
Tb3 0.250 0.918 0.599
Se7 0.750 0.978 0.715
Tb4 0.750 0.082 0.401
Tb5 0.750 0.568 0.611
Se8 0.750 0.478 0.785
Se9 0.750 0.292 0.322
Se10 0.250 0.912 0.921
Se11 0.250 0.412 0.579
Tb6 0.250 0.418 0.901
Eu4 0.250 0.257 0.163
Tb7 0.250 0.932 0.111
Se12 0.750 0.088 0.079
Tb8 0.750 0.582 0.099
Se13 0.750 0.588 0.421
Se14 0.750 0.366 0.029
Se15 0.250 0.708 0.678
Se16 0.250 0.134 0.529

Values from the calculation:
Its theoretical density is 6.76 Mg/m³. As for the total energy: -695.96 eV per cell. Its spin magnetization is 7.00 μB per formula unit. The symmetry is Pnma.

No. 5
A relaxed EuTm2Se4 crystal, computed with meta-GGA r2SCAN.

abc: 4.064 12.383 14.662
angles: 90.00 90.00 90.00
Fractional coordinates of all 28 atoms:
Tm1 0.750 0.084 0.403
Se1 0.750 0.092 0.078
Tm2 0.750 0.562 0.612
Se2 0.750 0.972 0.715
Se3 0.250 0.908 0.922
Se4 0.250 0.630 0.968
Se5 0.250 0.130 0.532
Tm3 0.750 0.062 0.888
Se6 0.250 0.028 0.285
Eu1 0.250 0.759 0.335
Se7 0.750 0.472 0.785
Tm4 0.250 0.916 0.597
Se8 0.250 0.705 0.674
Se9 0.750 0.795 0.174
Eu2 0.750 0.241 0.665
Se10 0.750 0.370 0.032
Tm5 0.250 0.416 0.903
Tm6 0.250 0.938 0.112
Se11 0.750 0.870 0.468
Eu3 0.250 0.259 0.165
Se12 0.250 0.528 0.215
Eu4 0.750 0.741 0.835
Se13 0.750 0.592 0.422
Se14 0.750 0.295 0.326
Se15 0.250 0.408 0.578
Tm7 0.750 0.584 0.097
Tm8 0.250 0.438 0.388
Se16 0.250 0.205 0.826

Values from the calculation:
Its theoretical density is 7.25 Mg/m³. As for the total energy: -711.23 eV per cell. Its spin magnetization is 1.03 μB per formula unit. The symmetry is Pnma.

No. 6
A relaxed Eu5Si3 crystal, computed with meta-GGA r2SCAN.

abc: 7.826 7.826 9.279
angles: 114.93 114.93 90.00
Fractional coordinates of all 16 atoms:
Si1 0.109 0.391 0.000
Eu1 0.532 0.677 0.708
Eu2 0.468 0.323 0.292
Eu3 0.323 0.823 0.292
Si2 0.891 0.609 0.000
Si3 0.250 0.250 0.500
Eu4 0.823 0.968 0.292
Si4 0.391 0.891 0.000
Si5 0.750 0.750 0.500
Eu5 0.500 0.500 0.000
Eu6 0.177 0.032 0.708
Eu7 0.677 0.177 0.708
Eu8 0.000 0.000 0.000
Eu9 0.968 0.468 0.292
Si6 0.609 0.109 0.000
Eu10 0.032 0.532 0.708

Values from the calculation:
Its theoretical density is 6.14 Mg/m³. As for the total energy: -447.23 eV per cell. Its spin magnetization is 35.28 μB per formula unit. The symmetry is I4/mcm.

No. 7
A relaxed EuZnSi crystal, computed with meta-GGA r2SCAN.

abc: 4.219 4.219 8.648
angles: 90.00 90.00 120.00
Fractional coordinates of all 6 atoms:
Eu1 0.000 0.000 0.000
Si1 0.667 0.333 0.250
Eu2 0.000 0.000 0.500
Zn1 0.333 0.667 0.250
Zn2 0.667 0.333 0.750
Si2 0.333 0.667 0.750

Values from the calculation:
Its theoretical density is 6.11 Mg/m³. As for the total energy: -115.85 eV per cell. Its spin magnetization is 7.02 μB per formula unit. The symmetry is P6_3/mmc.

No. 8
A relaxed Eu3Sn5 crystal, computed with meta-GGA r2SCAN.

abc: 6.729 6.729 10.616
angles: 90.00 90.00 102.12
Fractional coordinates of all 16 atoms:
Sn1 0.693 0.693 0.949
Eu1 0.362 0.362 0.750
Eu2 0.206 0.794 0.000
Eu3 0.794 0.206 0.000
Sn2 0.919 0.510 0.750
Sn3 0.307 0.307 0.449
Eu4 0.795 0.205 0.500
Sn4 0.031 0.031 0.250
Sn5 0.510 0.919 0.750
Sn6 0.693 0.693 0.551
Sn7 0.969 0.969 0.750
Sn8 0.307 0.307 0.051
Eu5 0.638 0.638 0.250
Sn9 0.490 0.081 0.250
Sn10 0.081 0.490 0.250
Eu6 0.205 0.795 0.500

Values from the calculation:
Its theoretical density is 7.42 Mg/m³. As for the total energy: -489.38 eV per cell. Its spin magnetization is 21.21 μB per formula unit. The symmetry is Cmcm.

No. 9
A relaxed EuSn crystal, computed with meta-GGA r2SCAN.

abc: 4.456 4.931 6.414
angles: 112.60 90.00 90.00
Fractional coordinates of all 4 atoms:
Eu1 0.250 0.865 0.730
Sn1 0.250 0.581 0.162
Eu2 0.750 0.135 0.270
Sn2 0.750 0.419 0.838

Values from the calculation:
Its theoretical density is 6.91 Mg/m³. As for the total energy: -129.79 eV per cell. Its spin magnetization is 7.15 μB per formula unit. The symmetry is Cmcm.

No. 10
A relaxed Eu2Sn crystal, computed with meta-GGA r2SCAN.

abc: 5.527 7.304 9.795
angles: 90.00 90.00 90.00
Fractional coordinates of all 12 atoms:
Eu1 0.250 0.008 0.723
Eu2 0.750 0.492 0.223
Eu3 0.250 0.715 0.419
Sn1 0.250 0.742 0.089
Sn2 0.250 0.242 0.411
Eu4 0.250 0.215 0.081
Sn3 0.750 0.757 0.589
Eu5 0.750 0.285 0.581
Eu6 0.250 0.508 0.777
Sn4 0.750 0.257 0.911
Eu7 0.750 0.785 0.919
Eu8 0.750 0.992 0.277

Values from the calculation:
Its theoretical density is 7.10 Mg/m³. As for the total energy: -416.16 eV per cell. Its spin magnetization is 14.03 μB per formula unit. The symmetry is Pnma.

No. 11
A relaxed Eu2ZnSn crystal, computed with meta-GGA r2SCAN.

abc: 5.459 5.459 5.459
angles: 60.00 60.00 60.00
Fractional coordinates of all 4 atoms:
Eu1 0.250 0.250 0.250
Sn1 0.500 0.500 0.500
Zn1 0.000 0.000 0.000
Eu2 0.750 0.750 0.750

Values from the calculation:
Its theoretical density is 7.05 Mg/m³. As for the total energy: -113.00 eV per cell. Its spin magnetization is 14.09 μB per formula unit. The symmetry is Fm-3m.

No. 12
A relaxed Sr3Eu crystal, computed with meta-GGA r2SCAN.

abc: 6.710 6.710 6.710
angles: 60.00 60.00 60.00
Fractional coordinates of all 4 atoms:
Eu1 0.000 0.000 0.000
Sr1 0.750 0.750 0.750
Sr2 0.250 0.250 0.250
Sr3 0.500 0.500 0.500

Values from the calculation:
Its theoretical density is 3.22 Mg/m³. The calculation puts the offset from the most stable computed form at 0.141 eV/f.u. Its spin magnetization is 7.85 μB per formula unit. The symmetry is Fm-3m.

Which formula does entry 8 have?
Eu3Sn5